Below is crystalline LiFeSi4O10 at its relaxed geometry, with properties calculated at the GGA+U level.

- SG: No. 130
- E_form: -2.865 eV/atom
- E above lowest polymorph: 0.0756 eV/atom
- Spin magnetization: 0.312 μB per atom
- MP2020-corrected energy: -509.57 eV per cell

a = 7.405 Å, b = 7.405 Å, c = 14.777 Å
α = 90.00°, β = 90.00°, γ = 90.00°
Fractional positions:
O 0.758 0.430 0.127
O 0.430 0.758 0.373
O 0.917 0.791 0.928
Si 0.647 0.735 0.355
O 0.430 0.242 0.873
Fe 0.500 0.500 0.000
O 0.791 0.083 0.072
Si 0.765 0.853 0.855
O 0.258 0.070 0.373
O 0.417 0.709 0.572
O 0.070 0.742 0.627
O 0.291 0.417 0.428
Si 0.853 0.235 0.145
O 0.709 0.583 0.428
Si 0.147 0.765 0.145
Si 0.235 0.853 0.355
Si 0.353 0.735 0.855
O 0.417 0.291 0.072
O 0.181 0.181 0.750
O 0.242 0.570 0.127
O 0.819 0.181 0.250
O 0.070 0.258 0.127
Li 0.000 0.500 0.941
Li 0.500 0.000 0.559
O 0.791 0.917 0.572
O 0.083 0.791 0.428
O 0.181 0.819 0.250
Li 0.000 0.500 0.441
Fe 0.500 0.500 0.500
Si 0.353 0.265 0.355
Fe 0.000 0.000 0.500
O 0.819 0.819 0.750
O 0.742 0.930 0.373
O 0.681 0.681 0.250
Fe 0.000 0.000 0.000
O 0.583 0.709 0.072
Si 0.765 0.147 0.355
O 0.709 0.417 0.928
O 0.583 0.291 0.572
Si 0.735 0.353 0.645
Li 0.500 0.000 0.059
O 0.570 0.242 0.373
Si 0.265 0.647 0.645
O 0.917 0.209 0.428
O 0.209 0.917 0.072
Si 0.735 0.647 0.145
O 0.083 0.209 0.928
O 0.209 0.083 0.572
O 0.242 0.430 0.627
O 0.319 0.681 0.750
O 0.258 0.930 0.873
Si 0.147 0.235 0.645
Si 0.647 0.265 0.855
Si 0.853 0.765 0.645
O 0.319 0.319 0.250
O 0.758 0.570 0.627
Si 0.265 0.353 0.145
O 0.930 0.258 0.627
Si 0.235 0.147 0.855
O 0.742 0.070 0.873
O 0.291 0.583 0.928
O 0.570 0.758 0.873
O 0.930 0.742 0.127
O 0.681 0.319 0.750